# 1
# LiMn2O3, relaxed, DFT GGA+U
# E_form (eV per formula unit): -12.446
# M_tot (μB/f.u.): 0.5
# Offset from the most stable computed form (eV per formula unit): 0.000
data_LiMn2O3
_cell_length_a 5.235
_cell_length_b 5.261
_cell_length_c 10.105
_cell_angle_alpha 93.92
_cell_angle_beta 93.17
_cell_angle_gamma 116.92
_symmetry_space_group_name_H-M 'P 1'
_symmetry_Int_Tables_number 1
_symmetry_space_group_name_Hall 'P 1'
loop_
_atom_site_label
_atom_site_fract_x
_atom_site_fract_y
_atom_site_fract_z
_atom_site_occupancy
Li1 0.000 0.000 0.000 1
Li2 0.159 0.841 0.501 1
Li3 0.660 0.325 0.997 1
Li4 0.830 0.144 0.498 1
Mn1 0.076 0.408 0.249 1
Mn2 0.241 0.234 0.751 1
Mn3 0.340 0.666 0.997 1
Mn4 0.413 0.077 0.249 1
Mn5 0.493 0.494 0.501 1
Mn6 0.582 0.909 0.749 1
Mn7 0.750 0.747 0.248 1
Mn8 0.911 0.572 0.750 1
O1 0.022 0.679 0.137 1
O2 0.120 0.149 0.369 1
O3 0.183 0.506 0.638 1
O4 0.285 0.969 0.872 1
O5 0.346 0.371 0.131 1
O6 0.484 0.791 0.370 1
O7 0.505 0.194 0.630 1
O8 0.637 0.609 0.870 1
O9 0.706 0.006 0.128 1
O10 0.806 0.477 0.361 1
O11 0.869 0.837 0.629 1
O12 0.974 0.301 0.863 1



# 2
# Li4Nb3Co3Sn2O16, relaxed, DFT GGA+U
# E_form (eV per formula unit): -62.318
# M_tot (μB/f.u.): 4.0
data_Li4Nb3Co3Sn2O16
_cell_length_a 6.096
_cell_length_b 6.096
_cell_length_c 10.032
_cell_angle_alpha 90.44
_cell_angle_beta 90.44
_cell_angle_gamma 60.42
_symmetry_space_group_name_H-M 'P 1'
_symmetry_Int_Tables_number 1
_symmetry_space_group_name_Hall 'P 1'
loop_
_atom_site_label
_atom_site_fract_x
_atom_site_fract_y
_atom_site_fract_z
_atom_site_occupancy
Li1 0.000 0.000 0.000 1
Li2 0.021 0.021 0.512 1
Li3 0.353 0.353 0.420 1
Li4 0.686 0.686 0.900 1
Nb1 0.195 0.195 0.736 1
Nb2 0.368 0.860 0.228 1
Nb3 0.860 0.368 0.228 1
Co1 0.195 0.677 0.726 1
Co2 0.677 0.195 0.726 1
Co3 0.831 0.831 0.226 1
Sn1 0.373 0.373 0.998 1
Sn2 0.699 0.699 0.521 1
O1 0.028 0.028 0.320 1
O2 0.028 0.028 0.819 1
O3 0.057 0.491 0.865 1
O4 0.193 0.701 0.116 1
O5 0.195 0.195 0.121 1
O6 0.343 0.343 0.614 1
O7 0.354 0.868 0.614 1
O8 0.491 0.057 0.865 1
O9 0.507 0.507 0.852 1
O10 0.525 0.981 0.363 1
O11 0.539 0.539 0.343 1
O12 0.669 0.669 0.104 1
O13 0.701 0.193 0.116 1
O14 0.867 0.867 0.611 1
O15 0.868 0.354 0.614 1
O16 0.981 0.525 0.363 1



Which of these has the lowest M_tot? LiMn2O3